A plane-wave DFT calculation with GGA-PBE was carried out for an optimized crystal structure of NaLuP2H2CO7.

## Properties
Space group: P-1 (2)

Lattice parameters (Å, degrees): 6.6871 6.8876 8.7213 103.26 99.22 104.61
Fractional coordinates of all 28 atoms:
Na: 0.4610 0.6928 0.5537
Na: 0.5390 0.3072 0.4463
Lu: 0.8221 0.6327 0.2649
Lu: 0.1779 0.3673 0.7351
P: 0.9748 0.1922 0.3093
P: 0.0252 0.8078 0.6907
P: 0.2600 0.5044 0.1664
P: 0.7400 0.4956 0.8336
H: 0.2066 0.1372 0.1269
H: 0.7934 0.8628 0.8731
H: 0.9766 0.1919 0.0380
H: 0.0234 0.8081 0.9620
C: 0.1040 0.2381 0.1477
C: 0.8960 0.7619 0.8523
O: 0.1530 0.6568 0.2544
O: 0.8470 0.3432 0.7456
O: 0.1505 0.2746 0.4681
O: 0.8495 0.7254 0.5319
O: 0.8682 0.9558 0.2683
O: 0.1318 0.0442 0.7317
O: 0.8129 0.3174 0.3118
O: 0.1871 0.6826 0.6882
O: 0.5000 0.0000 0.0000
O: 0.5000 0.0000 0.5000
O: 0.2681 0.5161 0.9950
O: 0.7319 0.4839 0.0050
O: 0.4817 0.5405 0.2756
O: 0.5183 0.4595 0.7244

***

A plane-wave DFT calculation with GGA-PBE was carried out for an optimized crystal structure of NaMg6C.

## Properties
Energy relative to the lowest polymorph listed for this composition in eV/atom: 0.0000
Space group: Amm2 (38)

Lattice parameters (Å, degrees): 9.6451 9.6451 3.4525 90.00 90.00 144.68
Fractional coordinates of all 8 atoms:
Na: 0.7960 0.2040 0.5000
Mg: 0.2987 0.2102 0.5000
Mg: 0.7898 0.7013 0.5000
Mg: 0.1881 0.3605 0.0000
Mg: 0.6395 0.8119 0.0000
Mg: 0.6582 0.3418 0.0000
Mg: 0.1836 0.8164 0.0000
C: 0.4462 0.5538 0.5000

***

A plane-wave DFT calculation with GGA-PBE was carried out for an optimized crystal structure of Pr2Ge3.

## Properties
Space group: Imm2 (44)

Lattice parameters (Å, degrees): 4.2327 4.1370 7.8159 74.65 74.29 90.00
Fractional coordinates of all 5 atoms:
Pr: 0.8712 0.6212 0.7576
Pr: 0.1197 0.3697 0.2605
Ge: 0.7156 0.9656 0.0687
Ge: 0.4392 0.1892 0.6215
Ge: 0.5442 0.7942 0.4117

***

| no. | formation enthalpy at 0 K (meV/atom) | mass density (Mg/m³) |
| --- | --- | --- |
| 1 | -2063 | 3.5 |
| 2 | 364 | 1.6 |
| 3 | -684 | 6.6 |